(1)
{"formula": "YSiBRh3", "functional": "PBE", "state": "relaxed", "m_tot_mub_per_cell": 0.00, "cell": [[2.750, -4.763, 0.000], [2.750, 4.763, 0.000], [0.000, 0.000, 3.430]], "species": ["Y", "Si", "B", "Rh", "Rh", "Rh"], "frac_coords": [[0.333, 0.667, 0.000], [0.000, 0.000, 0.000], [0.667, 0.333, 0.000], [0.346, 0.173, 0.500], [0.827, 0.173, 0.500], [0.827, 0.654, 0.500]]}

***

(2)
{"formula": "Sm3Si3Ni", "functional": "PBE", "state": "relaxed", "m_tot_mub_per_cell": 0.26, "cell": [[-5.428, 6.682, 3.711], [-8.882, 2.413, 1.777], [7.428, -5.717, -0.092]], "species": ["Sm", "Sm", "Sm", "Si", "Si", "Si", "Ni"], "frac_coords": [[0.815, 0.315, 0.500], [0.182, 0.682, 0.500], [0.001, 0.001, 0.000], [0.636, 0.136, 0.500], [0.359, 0.859, 0.500], [0.441, 0.441, 0.000], [0.567, 0.567, 0.000]]}

***

(3)
{"formula": "Te2PO7", "functional": "PBE", "state": "relaxed", "m_tot_mub_per_cell": 3.75, "corrected_energy_ev_per_atom": -6.42, "cell": [[-4.402, 3.558, 4.514], [3.072, -4.376, 6.445], [6.865, 6.793, 1.340]], "species": ["Te", "Te", "Te", "Te", "Te", "Te", "Te", "Te", "P", "P", "P", "P", "O", "O", "O", "O", "O", "O", "O", "O", "O", "O", "O", "O", "O", "O", "O", "O", "O", "O", "O", "O", "O", "O", "O", "O", "O", "O", "O", "O"], "frac_coords": [[0.811, 0.003, 0.657], [0.189, 0.503, 0.343], [0.811, 0.503, 0.843], [0.189, 0.003, 0.157], [0.183, 0.204, 0.819], [0.817, 0.704, 0.181], [0.183, 0.704, 0.681], [0.817, 0.204, 0.319], [0.548, 0.311, 0.587], [0.452, 0.811, 0.413], [0.548, 0.811, 0.913], [0.452, 0.311, 0.087], [0.910, 0.169, 0.766], [0.090, 0.669, 0.234], [0.910, 0.669, 0.734], [0.090, 0.169, 0.266], [0.085, 0.917, 0.661], [0.915, 0.417, 0.339], [0.085, 0.417, 0.839], [0.915, 0.917, 0.161], [0.586, 0.304, 0.430], [0.414, 0.804, 0.570], [0.586, 0.804, 0.070], [0.414, 0.304, 0.930], [0.905, 0.120, 0.493], [0.095, 0.620, 0.507], [0.905, 0.620, 0.007], [0.095, 0.120, 0.993], [0.348, 0.362, 0.612], [0.652, 0.862, 0.388], [0.348, 0.862, 0.888], [0.652, 0.362, 0.112], [0.572, 0.140, 0.653], [0.428, 0.640, 0.347], [0.572, 0.640, 0.847], [0.428, 0.140, 0.153], [0.695, 0.429, 0.647], [0.305, 0.929, 0.353], [0.695, 0.929, 0.853], [0.305, 0.429, 0.147]]}

***

(4)
{"formula": "MgC4O6", "functional": "PBE", "state": "relaxed", "m_tot_mub_per_cell": 8.00, "corrected_energy_ev_per_atom": -6.90, "cell": [[-4.256, -3.598, -5.561], [0.679, -7.568, -2.060], [-5.290, -4.632, 2.204]], "species": ["Mg", "Mg", "C", "C", "C", "C", "C", "C", "C", "C", "O", "O", "O", "O", "O", "O", "O", "O", "O", "O", "O", "O"], "frac_coords": [[0.500, 0.000, 0.500], [0.000, 0.500, 0.000], [0.926, 0.157, 0.661], [0.843, 0.074, 0.839], [0.074, 0.843, 0.339], [0.157, 0.926, 0.161], [0.022, 0.251, 0.445], [0.749, 0.978, 0.055], [0.978, 0.749, 0.555], [0.251, 0.022, 0.945], [0.209, 0.231, 0.405], [0.769, 0.791, 0.095], [0.791, 0.769, 0.595], [0.231, 0.209, 0.905], [0.915, 0.345, 0.313], [0.655, 0.085, 0.187], [0.085, 0.655, 0.687], [0.345, 0.915, 0.813], [0.522, 0.754, 0.422], [0.246, 0.478, 0.078], [0.478, 0.246, 0.578], [0.754, 0.522, 0.922]]}

***

(5)
{"formula": "DyAl3C3", "functional": "PBE", "state": "relaxed", "cell": [[1.717, -2.974, 0.000], [1.717, 2.974, 0.000], [0.000, 0.000, 17.348]], "species": ["Dy", "Dy", "Al", "Al", "Al", "Al", "Al", "Al", "C", "C", "C", "C", "C", "C"], "frac_coords": [[0.000, 0.000, 0.500], [0.000, 0.000, 0.000], [0.333, 0.667, 0.366], [0.667, 0.333, 0.634], [0.667, 0.333, 0.866], [0.333, 0.667, 0.134], [0.333, 0.667, 0.750], [0.667, 0.333, 0.250], [0.333, 0.667, 0.907], [0.667, 0.333, 0.093], [0.667, 0.333, 0.407], [0.333, 0.667, 0.593], [0.333, 0.667, 0.250], [0.667, 0.333, 0.750]]}

***

(6)
{"formula": "Sr2Bi2Se3O2", "functional": "PBE", "state": "relaxed", "m_tot_mub_per_cell": 0.01, "corrected_energy_ev_per_atom": -5.18, "cell": [[0.000, 4.136, 0.000], [3.829, 2.068, -5.718], [-5.893, 2.068, -5.718]], "species": ["Sr", "Sr", "Bi", "Bi", "Se", "Se", "Se", "O", "O"], "frac_coords": [[0.893, 0.318, 0.896], [0.107, 0.682, 0.104], [0.691, 0.256, 0.363], [0.309, 0.744, 0.637], [0.000, 0.500, 0.500], [0.630, 0.958, 0.783], [0.370, 0.042, 0.217], [0.313, 0.521, 0.854], [0.687, 0.479, 0.146]]}

***

Computed DFT total energy (eV/atom) in order:
-7.581 -5.928 -5.938 -6.529 -6.509 -5.027
Computed energy relative to the elements (eV/atom) in order:
-0.80 -0.75 -1.79 -0.70 -0.29 -1.67